Record 1
ErCrTeO6 | the Materials Project database | PBE+U | optimized geometry; space group = P-31c (163); distance to the lowest polymorph of the same formula = 240 meV per atom; formation energy = -2308 meV/atom
1.0
5.385 0.000 0.000
-2.692 4.663 0.000
0.000 0.000 8.623
Er Cr Te O
2 2 2 12
direct
0.333 0.667 0.250
0.667 0.333 0.750
0.000 0.000 0.000
0.000 0.000 0.500
0.333 0.667 0.750
0.667 0.333 0.250
0.039 0.353 0.876
0.039 0.686 0.624
0.314 0.353 0.624
0.314 0.961 0.876
0.353 0.039 0.376
0.353 0.314 0.124
0.647 0.686 0.876
0.647 0.961 0.624
0.686 0.039 0.124
0.686 0.647 0.376
0.961 0.314 0.376
0.961 0.647 0.124


Record 2
EuHfCrSnO6 | the Materials Project database | PBE+U | optimized geometry; space group = F-43m (216); distance to the lowest polymorph of the same formula = 0 meV per atom; formation energy = -2760 meV/atom
1.0
0.000 4.023 4.023
4.023 0.000 4.023
4.023 4.023 0.000
Eu Hf Cr Sn O
1 1 1 1 6
direct
0.000 0.000 0.000
0.750 0.750 0.750
0.250 0.250 0.250
0.500 0.500 0.500
0.006 0.006 0.494
0.006 0.494 0.006
0.006 0.494 0.494
0.494 0.006 0.006
0.494 0.006 0.494
0.494 0.494 0.006


Record 3
EuHfCrSnO6 | the Materials Project database | PBE+U | optimized geometry; space group = P222 (16); distance to the lowest polymorph of the same formula = 410 meV per atom; formation energy = -2350 meV/atom
1.0
8.656 0.000 0.000
0.000 8.675 0.000
0.000 0.000 8.782
Eu Hf Cr Sn O
4 4 4 4 24
direct
0.000 0.000 0.000
0.000 0.000 0.500
0.000 0.500 0.000
0.500 0.500 0.500
0.251 0.256 0.759
0.251 0.744 0.241
0.749 0.256 0.241
0.749 0.744 0.759
0.255 0.249 0.248
0.255 0.751 0.752
0.745 0.249 0.752
0.745 0.751 0.248
0.000 0.500 0.500
0.500 0.000 0.000
0.500 0.000 0.500
0.500 0.500 0.000
0.013 0.206 0.721
0.013 0.794 0.279
0.202 0.285 0.987
0.202 0.715 0.013
0.216 0.490 0.710
0.216 0.510 0.290
0.280 0.005 0.795
0.280 0.995 0.205
0.294 0.213 0.507
0.294 0.787 0.493
0.494 0.298 0.781
0.494 0.702 0.219
0.506 0.298 0.219
0.506 0.702 0.781
0.706 0.213 0.493
0.706 0.787 0.507
0.720 0.005 0.205
0.720 0.995 0.795
0.784 0.490 0.290
0.784 0.510 0.710
0.798 0.285 0.013
0.798 0.715 0.987
0.987 0.206 0.279
0.987 0.794 0.721


Record 4
Eu2CrInO6 | the Materials Project database | PBE+U | optimized geometry; space group = Fm-3m (225); formation energy = -2488 meV/atom
1.0
0.000 4.011 4.011
4.011 0.000 4.011
4.011 4.011 0.000
Eu Cr In O
2 1 1 6
direct
0.250 0.250 0.250
0.750 0.750 0.750
0.000 0.000 0.000
0.500 0.500 0.500
0.239 0.239 0.761
0.239 0.761 0.239
0.239 0.761 0.761
0.761 0.239 0.239
0.761 0.239 0.761
0.761 0.761 0.239


Record 5
SrEuCrInO6 | the Materials Project database | PBE+U | optimized geometry; space group = F-43m (216); formation energy = -2432 meV/atom
1.0
0.000 4.019 4.019
4.019 0.000 4.019
4.019 4.019 0.000
Sr Eu Cr In O
1 1 1 1 6
direct
0.000 0.000 0.000
0.500 0.500 0.500
0.250 0.250 0.250
0.750 0.750 0.750
0.012 0.012 0.488
0.012 0.488 0.012
0.012 0.488 0.488
0.488 0.012 0.012
0.488 0.012 0.488
0.488 0.488 0.012


Record 6
LiEu2Cr2O8 | the Materials Project database | PBE+U | optimized geometry; space group = P1 (1); distance to the lowest polymorph of the same formula = 0 meV per atom; formation energy = -2499 meV/atom
1.0
6.129 0.000 0.000
-2.823 5.573 0.000
-1.655 -2.782 5.368
Li Eu Cr O
1 2 2 8
direct
0.000 0.000 0.000
0.021 0.520 0.038
0.289 0.289 0.575
0.525 0.025 0.047
0.763 0.763 0.522
0.338 0.045 0.208
0.361 0.683 0.879
0.419 0.605 0.366
0.522 0.200 0.879
0.793 0.625 0.731
0.874 0.167 0.209
0.942 0.109 0.731
0.951 0.765 0.366


| no. | calculated density (g/cm³) |
| --- | --- |
| 1 | 6.8 |
| 2 | 7.6 |
| 3 | 6.0 |
| 4 | 7.3 |
| 5 | 6.4 |
| 6 | 4.9 |